No. 1
Here is crystalline Eu7Cl2F12 at its relaxed geometry from the Materials Project. Energies are from r²SCAN.

* formation enthalpy at 0 K: -3.9197 eV/atom

abc: 9.9768 9.9768 3.8901
angles: 90.00 90.00 120.00
Space group P-6 (No. 174)
Symmetry-distinct sites (fractional):
Eu 0.0000 0.0000 0.0000 (multiplicity 1)
Eu 0.1152 0.7122 0.5000 (multiplicity 3)
Eu 0.4109 0.1121 0.0000 (multiplicity 3)
Cl 0.3333 0.6667 0.0000 (multiplicity 1)
Cl 0.6667 0.3333 0.5000 (multiplicity 1)
F 0.0480 0.4359 0.5000 (multiplicity 3)
F 0.1190 0.2766 0.0000 (multiplicity 3)
F 0.2156 0.1203 0.5000 (multiplicity 3)
F 0.4301 0.3683 0.0000 (multiplicity 3)



No. 2
Here is crystalline DyIn3 at its relaxed geometry from the Materials Project. Energies are from r²SCAN.

* formation enthalpy at 0 K: -0.5219 eV/atom

abc: 4.611 4.611 4.611
angles: 90.00 90.00 90.00
Space group Pm-3m (No. 221)
Symmetry-distinct sites (fractional):
Dy 0.000 0.000 0.000 (multiplicity 1)
In 0.000 0.500 0.500 (multiplicity 3)



No. 3
Here is crystalline Ta4Ni2C at its relaxed geometry from the Materials Project. Energies are from r²SCAN.

* formation enthalpy at 0 K: -0.4510 eV/atom

abc: 11.624 11.624 11.624
angles: 90.00 90.00 90.00
Space group Fd-3m (No. 227, origin choice 2)
Symmetry-distinct sites (fractional):
Ta 0.000 0.000 0.000 (multiplicity 16)
Ta 0.058 0.375 0.875 (multiplicity 48)
Ni 0.045 0.045 0.205 (multiplicity 32)
C 0.000 0.000 0.500 (multiplicity 16)



No. 4
Here is crystalline Fe3Re at its relaxed geometry from the Materials Project. Energies are from r²SCAN.

* formation enthalpy at 0 K: 0.2159 eV/atom

abc: 5.074 9.243 4.182
angles: 90.00 90.00 90.00
Space group Cmcm (No. 63)
Symmetry-distinct sites (fractional):
Fe 0.000 0.172 0.250 (multiplicity 4)
Fe 0.245 0.428 0.250 (multiplicity 8)
Re 0.000 0.330 0.750 (multiplicity 4)



No. 5
Here is crystalline EuHg at its relaxed geometry from the Materials Project. Energies are from r²SCAN.

* formation enthalpy at 0 K: -0.6125 eV/atom

abc: 3.871 3.871 3.871
angles: 90.00 90.00 90.00
Space group Pm-3m (No. 221)
Symmetry-distinct sites (fractional):
Eu 0.000 0.000 0.000 (multiplicity 1)
Hg 0.500 0.500 0.500 (multiplicity 1)



No. 6
Here is crystalline YbCdAg2 at its relaxed geometry from the Materials Project. Energies are from r²SCAN.

* formation enthalpy at 0 K: -0.2922 eV/atom

abc: 6.850 6.850 6.850
angles: 90.00 90.00 90.00
Space group Fm-3m (No. 225)
Symmetry-distinct sites (fractional):
Yb 0.000 0.000 0.000 (multiplicity 4)
Cd 0.000 0.000 0.500 (multiplicity 4)
Ag 0.250 0.250 0.250 (multiplicity 8)



No. 7
Here is crystalline Dy5Sn11 at its relaxed geometry from the Materials Project. Energies are from r²SCAN.

* formation enthalpy at 0 K: -0.5886 eV/atom

abc: 4.348 4.408 21.837
angles: 84.27 84.36 89.99
Space group P-1 (No. 2)
Symmetry-distinct sites (fractional):
Dy 0.000 0.000 0.000 (multiplicity 1)
Dy 0.193 0.693 0.614 (multiplicity 2)
Dy 0.383 0.383 0.234 (multiplicity 2)
Sn 0.060 0.560 0.880 (multiplicity 2)
Sn 0.133 0.132 0.735 (multiplicity 2)
Sn 0.249 0.250 0.501 (multiplicity 2)
Sn 0.321 0.821 0.359 (multiplicity 2)
Sn 0.439 0.940 0.120 (multiplicity 2)
Sn 0.500 0.500 0.000 (multiplicity 1)



No. 8
Here is crystalline MgSO4 at its relaxed geometry from the Materials Project. Energies are from r²SCAN.

* formation enthalpy at 0 K: -2.1420 eV/atom

abc: 8.596 6.639 4.746
angles: 90.00 90.00 90.00
Space group Pnma (No. 62)
Symmetry-distinct sites (fractional):
Mg 0.000 0.000 0.000 (multiplicity 4)
S 0.179 0.250 0.476 (multiplicity 4)
O 0.124 0.250 0.772 (multiplicity 4)
O 0.125 0.068 0.337 (multiplicity 8)
O 0.147 0.750 0.962 (multiplicity 4)